Record 1
{"formula": "GePbS3", "functional": "PBE", "state": "relaxed", "lattice": [[10.665, 0.000, 0.000], [0.000, 6.960, 0.000], [0.000, 1.983, 7.275]], "species": ["S", "S", "S", "S", "S", "S", "S", "S", "S", "S", "S", "S", "Pb", "Pb", "Pb", "Pb", "Ge", "Ge", "Ge", "Ge"], "frac_coords": [[0.179, 0.918, 0.441], [0.821, 0.082, 0.559], [0.321, 0.418, 0.441], [0.679, 0.582, 0.559], [0.720, 0.689, 0.003], [0.780, 0.189, 0.003], [0.988, 0.579, 0.731], [0.488, 0.921, 0.269], [0.280, 0.311, 0.997], [0.220, 0.811, 0.997], [0.012, 0.421, 0.269], [0.512, 0.079, 0.731], [0.919, 0.773, 0.377], [0.581, 0.273, 0.377], [0.081, 0.227, 0.623], [0.419, 0.727, 0.623], [0.291, 0.995, 0.186], [0.209, 0.495, 0.186], [0.791, 0.505, 0.814], [0.709, 0.005, 0.814]], "energy_ev_per_atom": -4.580, "spacegroup": "P2_1/c (14)"}

Record 2
{"formula": "Co5B2P", "functional": "PBE", "state": "relaxed", "lattice": [[5.367, 0.000, 0.000], [0.000, 5.367, 0.000], [-2.684, -2.684, 5.128]], "species": ["B", "B", "B", "B", "Co", "Co", "Co", "Co", "Co", "Co", "Co", "Co", "Co", "Co", "P", "P"], "frac_coords": [[0.378, 0.878, 0.000], [0.622, 0.122, 0.000], [0.122, 0.378, 0.000], [0.878, 0.622, 0.000], [0.531, 0.690, 0.720], [0.310, 0.810, 0.280], [0.810, 0.969, 0.280], [0.500, 0.500, 0.000], [0.690, 0.190, 0.720], [0.969, 0.469, 0.280], [0.031, 0.531, 0.720], [0.469, 0.310, 0.280], [0.000, 0.000, 0.000], [0.190, 0.031, 0.720], [0.750, 0.750, 0.500], [0.250, 0.250, 0.500]], "m_tot_mub_per_fu": 2.160, "energy_ev_per_atom": -7.144, "spacegroup": "I4/mcm (140)"}